Na2SrSi2O6 after structural relaxation, computed with PBE.

The structure in POSCAR format:
```
Na2SrSi2O6
1.0
5.4566 5.5173 0.0000
-5.4566 5.5173 0.0000
0.0000 0.3011 7.7511
Sr O Na Si
3 18 6 6
direct
0.5000 0.0000 0.0000
0.0000 0.5000 0.0000
0.0000 0.0000 0.0000
0.0764 0.7740 0.7928
0.7464 0.5012 0.2527
0.5012 0.7464 0.2527
0.2136 0.5625 0.2165
0.2116 0.2116 0.5632
0.4375 0.7864 0.7835
0.7740 0.0764 0.7928
0.2536 0.4988 0.7473
0.2533 0.7467 0.5000
0.9236 0.2260 0.2072
0.7864 0.4375 0.7835
0.7884 0.7884 0.4368
0.2176 0.2176 0.9251
0.7467 0.2533 0.5000
0.7824 0.7824 0.0749
0.2260 0.9236 0.2072
0.5625 0.2136 0.2165
0.4988 0.2536 0.7473
0.5000 0.0000 0.5000
0.5000 0.5000 0.0000
0.0000 0.5000 0.5000
0.0000 0.0000 0.5000
0.2525 0.2525 0.2676
0.7475 0.7475 0.7324
0.7136 0.7136 0.2636
0.7120 0.2600 0.7116
0.2864 0.2864 0.7364
0.2600 0.7120 0.7116
0.2880 0.7400 0.2884
0.7400 0.2880 0.2884
```

* total magnetization: 0.0 μB/cell

***

GaBr3 after structural relaxation, computed with PBE.

The structure in POSCAR format:
```
GaBr3
1.0
6.2369 0.0000 0.0000
0.0000 9.5187 0.0000
0.0000 3.7170 11.2025
Br Ga
12 4
direct
0.2953 0.0002 0.3915
0.7953 0.9998 0.1085
0.2309 0.3093 0.0460
0.7821 0.3193 0.8018
0.7179 0.3193 0.3018
0.2179 0.6807 0.1982
0.2821 0.6807 0.6982
0.7691 0.6907 0.9540
0.2047 0.0002 0.8915
0.2691 0.3093 0.5460
0.7047 0.9998 0.6085
0.7309 0.6907 0.4540
0.9963 0.8093 0.0462
0.4963 0.1907 0.4538
0.5037 0.8093 0.5462
0.0037 0.1907 0.9538
```

***

| no. | calculated formation energy (eV/atom) | VASP energy (eV/atom) | theoretical density (kg/m3) |
| --- | --- | --- | --- |
| 1 | -3.00 | -6.70 | 3050 |
| 2 | -1.24 | -2.82 | 3090 |